Entry from the Materials Project database: Al2Si3W3O12 after structural relaxation (PBE+U).

Geometry as POSCAR:
```
Al2Si3W3O12
1.0
-5.888 5.888 5.888
5.888 -5.888 5.888
5.888 5.888 -5.888
W Si O Al
12 12 48 8
Cartesian
2.944 7.360 0.000
2.944 1.472 0.000
7.360 0.000 2.944
2.944 -1.472 5.888
2.944 4.416 5.888
4.416 5.888 2.944
5.888 2.944 -1.472
0.000 2.944 1.472
1.472 0.000 2.944
-1.472 5.888 2.944
5.888 2.944 4.416
0.000 2.944 7.360
8.833 1.472 0.000
-2.944 4.416 5.888
1.472 0.000 8.833
4.416 5.888 -2.944
4.416 0.000 2.944
2.944 1.472 5.888
5.888 -2.944 4.416
5.888 2.944 1.472
1.472 5.888 2.944
2.944 4.416 0.000
0.000 8.833 1.472
0.000 2.944 4.416
4.712 3.568 2.480
6.512 4.120 0.464
6.352 5.265 4.120
8.209 2.480 -1.176
0.464 0.624 7.656
9.297 -1.176 2.321
1.768 0.464 5.265
-1.176 2.321 9.297
5.424 5.265 -1.768
4.120 0.464 6.512
3.568 3.408 -1.176
-1.768 5.424 5.265
2.480 -1.176 8.209
7.656 0.464 0.624
2.321 9.297 -1.176
-0.464 0.624 1.768
7.064 3.568 -3.408
1.176 2.321 3.408
-1.176 8.209 2.480
1.768 -0.464 0.624
4.120 6.352 5.265
7.064 -2.321 3.408
-0.624 1.768 5.424
2.321 3.408 1.176
0.464 5.265 1.768
5.265 -1.768 5.424
3.408 -1.176 3.568
4.120 5.424 0.624
5.424 -0.624 1.768
3.568 -3.408 7.064
5.265 1.768 0.464
5.265 4.120 6.352
3.568 2.480 4.712
0.624 7.656 0.464
-3.408 7.064 3.568
3.408 1.176 2.321
3.408 7.064 -2.321
2.480 7.064 2.321
2.480 4.712 3.568
0.624 1.768 -0.464
7.064 2.321 2.480
0.624 4.120 5.424
-1.176 3.568 3.408
2.321 2.480 7.064
0.464 6.512 4.120
-2.321 3.408 7.064
1.768 5.424 -0.624
5.424 0.624 4.120
-2.944 2.944 2.944
2.944 2.944 -2.944
0.000 0.000 0.000
2.944 2.944 2.944
0.000 5.888 0.000
0.000 0.000 5.888
5.888 0.000 0.000
2.944 -2.944 2.944
```

Properties
As for the symmetry: Ia-3d. For the spin magnetization, the calculation gives 48.0 μB per cell. The formation energy comes out at -2078 meV/atom.

***

Entry from the Materials Project database: AlSnW2O8 after structural relaxation (PBE+U).

Geometry as POSCAR:
```
AlSnW2O8
1.0
4.971 0.000 0.000
-0.495 5.439 0.000
-1.278 -2.539 5.558
O Sn Al W
8 1 1 2
Cartesian
2.590 -0.350 4.109
2.122 2.582 3.276
3.981 3.032 1.283
1.323 4.158 1.553
3.641 -0.016 0.504
1.458 1.685 0.613
-0.224 0.739 2.764
-0.277 3.532 3.637
3.419 1.689 4.964
1.423 -1.452 4.990
3.470 -0.986 2.428
0.578 2.311 2.135
```

Properties
The distance to the lowest polymorph of the same formula is 106 meV per atom. As for the symmetry: P1. For the spin magnetization, the calculation gives 1.0 μB per cell. The formation energy comes out at -2178 meV/atom.

***

Entry from the Materials Project database: AlSnW2O8 after structural relaxation (PBE+U).

Geometry as POSCAR:
```
AlSnW2O8
1.0
5.664 0.000 0.000
0.000 5.178 0.000
0.000 4.987 9.342
W O Sn Al
4 16 2 2
Cartesian
4.795 6.395 4.666
0.869 3.771 4.676
4.795 1.277 0.005
0.869 8.888 9.336
0.689 7.178 5.761
2.077 2.837 3.347
3.587 7.328 5.995
4.986 4.619 5.762
4.975 4.685 1.090
3.445 2.034 1.244
2.077 4.834 1.324
4.975 2.987 3.581
0.678 2.125 1.091
3.445 5.637 3.427
2.220 4.528 5.915
2.220 8.131 8.098
3.587 5.331 8.018
0.678 5.546 3.580
0.689 5.481 8.252
4.986 8.040 8.251
3.599 3.836 2.335
2.066 6.329 7.006
1.890 1.247 2.335
3.774 3.741 7.006
```

Properties
The distance to the lowest polymorph of the same formula is 0 meV per atom. As for the symmetry: P2/c. For the spin magnetization, the calculation gives 6.0 μB per cell. The formation energy comes out at -2284 meV/atom.

***

Entry from the Materials Project database: Sr2YAlV2O7 after structural relaxation (PBE+U).

Geometry as POSCAR:
```
Sr2YAlV2O7
1.0
2.940 1.384 11.355
-7.420 -3.348 -8.550
0.002 -6.249 -10.015
O Sr V Y Al
14 4 4 2 2
Cartesian
-1.060 -2.821 -0.050
0.050 -0.778 2.163
-6.911 -6.705 -13.640
0.144 -4.526 -2.493
-4.948 -3.842 -4.520
-0.890 -5.864 -5.082
-1.775 -4.766 -8.114
-2.111 -6.278 -10.918
-4.836 -3.550 -7.716
-6.583 -4.733 -10.125
-3.907 -2.494 -1.912
-4.657 -6.867 -9.615
-2.171 -3.606 -3.891
-3.687 -6.220 -6.624
-4.847 -6.455 -12.130
0.262 -1.788 4.983
1.640 -0.007 8.430
-6.227 -8.240 -15.583
0.819 -3.185 -0.670
-1.776 -6.543 -7.165
-2.912 -1.777 0.002
-5.455 -5.068 -6.365
-3.748 -4.831 -9.245
-0.042 -0.036 0.030
-0.572 -4.436 -4.100
-3.824 -3.742 -3.161
```

Properties
The distance to the lowest polymorph of the same formula is 0 meV per atom. As for the symmetry: Cm. For the spin magnetization, the calculation gives 12.0 μB per cell. The formation energy comes out at -2964 meV/atom.

***

Entry from the Materials Project database: Sr2YAlV2O7 after structural relaxation (PBE+U).

Geometry as POSCAR:
```
Sr2YAlV2O7
1.0
-2.812 2.902 11.023
2.812 -2.902 11.023
2.812 2.902 -11.023
Al O Sr Y V
2 14 4 2 4
Cartesian
0.051 3.346 5.512
2.863 -0.444 5.512
2.611 0.343 7.065
3.832 1.717 -1.613
-0.201 2.560 7.065
-0.201 2.560 3.959
1.773 1.889 -5.512
2.611 0.343 3.959
1.773 3.916 5.512
1.520 4.124 -1.474
1.020 1.186 -1.613
1.520 1.681 1.474
1.520 1.681 9.550
1.020 1.186 12.637
1.020 4.619 1.613
4.332 1.222 1.474
-0.067 0.142 7.564
-0.067 0.142 3.460
2.745 2.760 3.460
2.745 2.760 7.564
2.751 2.902 0.000
5.564 0.000 0.000
2.698 0.002 9.362
-0.115 2.901 9.362
2.698 0.002 1.662
-0.115 2.901 1.662
```

Properties
The distance to the lowest polymorph of the same formula is 35 meV per atom. As for the symmetry: Ima2. For the spin magnetization, the calculation gives 8.0 μB per cell. The formation energy comes out at -2928 meV/atom.

***

Entry from the Materials Project database: TaAlW2O8 after structural relaxation (PBE+U).

Geometry as POSCAR:
```
TaAlW2O8
1.0
1.767 -1.279 4.746
1.102 -4.361 -2.987
4.590 3.789 -0.382
O Al W Ta
8 1 2 1
Cartesian
2.020 -2.299 2.956
5.126 -1.958 0.098
2.780 -3.749 0.331
4.638 1.045 0.424
5.495 -0.354 -2.422
2.657 -2.295 -2.350
4.180 -0.447 2.729
2.201 -1.009 0.167
4.798 1.146 2.146
1.265 -2.694 -0.686
3.647 -1.971 1.301
2.745 -0.745 4.249
```

Properties
The distance to the lowest polymorph of the same formula is 112 meV per atom. As for the symmetry: P1. For the spin magnetization, the calculation gives 4.0 μB per cell. The formation energy comes out at -2487 meV/atom.